one:
MgZr3U7O20: relaxed, PBE.

Unit cell a=3.714 b=6.498 c=17.366 alpha=88.15 beta=83.89 gamma=89.92
Element x y z (fractional)
Mg1 0.000 0.000 0.000
Zr1 0.566 0.868 0.867
Zr2 0.655 0.565 0.685
Zr3 0.838 0.933 0.328
U1 0.063 0.381 0.877
U2 0.152 0.067 0.696
U3 0.247 0.751 0.509
U4 0.339 0.433 0.325
U5 0.428 0.114 0.149
U6 0.748 0.247 0.509
U7 0.929 0.622 0.143
O1 0.036 0.754 0.931
O2 0.087 0.057 0.829
O3 0.130 0.420 0.745
O4 0.176 0.730 0.648
O5 0.223 0.078 0.558
O6 0.271 0.424 0.462
O7 0.318 0.771 0.369
O8 0.362 0.100 0.282
O9 0.410 0.446 0.184
O10 0.461 0.809 0.086
O11 0.527 0.108 0.949
O12 0.576 0.545 0.851
O13 0.628 0.866 0.744
O14 0.676 0.244 0.653
O15 0.721 0.577 0.561
O16 0.772 0.917 0.459
O17 0.817 0.252 0.371
O18 0.863 0.607 0.279
O19 0.904 0.938 0.196
O20 0.961 0.236 0.080

Calculated values
- SG: No. 1
- Size of the total moment: 16.00 Bohr magnetons per cell

---

two:
MgZr3U7O20: relaxed, PBE.

Unit cell a=3.755 b=6.492 c=16.717 alpha=87.69 beta=83.56 gamma=89.98
Element x y z (fractional)
Mg1 0.000 0.000 0.000
Zr1 0.436 0.129 0.128
Zr2 0.663 0.554 0.676
Zr3 0.756 0.246 0.492
U1 0.069 0.372 0.866
U2 0.162 0.058 0.677
U3 0.254 0.745 0.494
U4 0.348 0.437 0.306
U5 0.570 0.865 0.861
U6 0.848 0.932 0.304
U7 0.946 0.608 0.108
O1 0.034 0.719 0.933
O2 0.093 0.042 0.817
O3 0.139 0.394 0.726
O4 0.184 0.720 0.633
O5 0.232 0.084 0.537
O6 0.277 0.412 0.448
O7 0.325 0.763 0.351
O8 0.374 0.110 0.254
O9 0.426 0.453 0.150
O10 0.479 0.893 0.042
O11 0.543 0.187 0.917
O12 0.592 0.542 0.818
O13 0.640 0.876 0.722
O14 0.686 0.238 0.630
O15 0.730 0.565 0.542
O16 0.777 0.922 0.448
O17 0.823 0.262 0.356
O18 0.876 0.600 0.250
O19 0.922 0.955 0.157
O20 0.973 0.269 0.057

Calculated values
- SG: No. 1
- Size of the total moment: 16.00 Bohr magnetons per cell

---

Order from most stable to least stable according to the calculation: one, two

---

one:
YMg14ZnO16: relaxed, PBE.

Unit cell a=8.717 b=8.717 c=4.351 alpha=90.00 beta=90.00 gamma=90.00
Element x y z (fractional)
Y1 0.000 0.000 0.000
Mg1 0.000 0.264 0.500
Mg2 0.000 0.500 0.000
Mg3 0.000 0.736 0.500
Mg4 0.253 0.500 0.500
Mg5 0.259 0.259 0.000
Mg6 0.259 0.741 0.000
Mg7 0.264 0.000 0.500
Mg8 0.500 0.000 0.000
Mg9 0.500 0.253 0.500
Mg10 0.500 0.747 0.500
Mg11 0.736 0.000 0.500
Mg12 0.741 0.259 0.000
Mg13 0.741 0.741 0.000
Mg14 0.747 0.500 0.500
Zn1 0.500 0.500 0.000
O1 0.000 0.000 0.500
O2 0.000 0.257 0.000
O3 0.000 0.500 0.500
O4 0.000 0.743 0.000
O5 0.237 0.500 0.000
O6 0.247 0.247 0.500
O7 0.247 0.753 0.500
O8 0.257 0.000 0.000
O9 0.500 0.000 0.500
O10 0.500 0.237 0.000
O11 0.500 0.500 0.500
O12 0.500 0.763 0.000
O13 0.743 0.000 0.000
O14 0.753 0.247 0.500
O15 0.753 0.753 0.500
O16 0.763 0.500 0.000

Calculated values
- SG: No. 123
- Size of the total moment: 0.01 Bohr magnetons per cell

---

two:
YMg14ZnO16: relaxed, PBE.

Unit cell a=4.350 b=8.706 c=8.775 alpha=90.00 beta=90.00 gamma=90.00
Element x y z (fractional)
Y1 0.000 0.000 0.000
Mg1 0.000 0.257 0.260
Mg2 0.000 0.257 0.740
Mg3 0.000 0.500 0.000
Mg4 0.000 0.500 0.500
Mg5 0.000 0.743 0.260
Mg6 0.000 0.743 0.740
Mg7 0.500 0.000 0.265
Mg8 0.500 0.000 0.735
Mg9 0.500 0.252 0.500
Mg10 0.500 0.263 0.000
Mg11 0.500 0.500 0.253
Mg12 0.500 0.500 0.747
Mg13 0.500 0.737 0.000
Mg14 0.500 0.748 0.500
Zn1 0.000 0.000 0.500
O1 0.000 0.000 0.251
O2 0.000 0.000 0.749
O3 0.000 0.260 0.000
O4 0.000 0.266 0.500
O5 0.000 0.500 0.248
O6 0.000 0.500 0.752
O7 0.000 0.734 0.500
O8 0.000 0.740 0.000
O9 0.500 0.000 0.000
O10 0.500 0.000 0.500
O11 0.500 0.250 0.248
O12 0.500 0.250 0.752
O13 0.500 0.500 0.000
O14 0.500 0.500 0.500
O15 0.500 0.750 0.248
O16 0.500 0.750 0.752

Calculated values
- SG: No. 47
- Size of the total moment: 0.01 Bohr magnetons per cell

---

Order from most stable to least stable according to the calculation: one, two

---

one:
Mg2P: relaxed, PBE.

Unit cell a=12.729 b=3.744 c=5.466 alpha=90.00 beta=115.18 gamma=90.00
Element x y z (fractional)
Mg1 0.002 0.000 0.244
Mg2 0.204 0.500 0.705
Mg3 0.296 0.000 0.295
Mg4 0.498 0.500 0.756
Mg5 0.502 0.500 0.244
Mg6 0.704 0.000 0.705
Mg7 0.796 0.500 0.295
Mg8 0.998 0.000 0.756
P1 0.143 0.500 0.143
P2 0.357 0.000 0.857
P3 0.643 0.000 0.143
P4 0.857 0.500 0.857

Calculated values
- SG: No. 12
- Size of the total moment: 0.00 Bohr magnetons per cell

---

two:
Mg2P: relaxed, PBE.

Unit cell a=5.667 b=5.667 c=5.667 alpha=90.00 beta=90.00 gamma=90.00
Element x y z (fractional)
Mg1 0.000 0.000 0.000
Mg2 0.000 0.500 0.500
Mg3 0.500 0.000 0.500
Mg4 0.500 0.500 0.000
P1 0.250 0.250 0.250
P2 0.750 0.750 0.750

Calculated values
- SG: No. 224
- Size of the total moment: 0.37 Bohr magnetons per cell

---

Order from most stable to least stable according to the calculation: one, two

---

one:
MgTi2Tl2P2S10: relaxed, PBE.

Unit cell a=6.674 b=7.197 c=9.557 alpha=107.42 beta=100.78 gamma=90.99
Element x y z (fractional)
Mg1 0.000 0.000 0.000
Ti1 0.291 0.440 0.727
Ti2 0.291 0.865 0.725
Tl1 0.105 0.491 0.325
Tl2 0.532 0.827 0.193
P1 0.081 0.049 0.473
P2 0.514 0.274 0.014
S1 0.037 0.918 0.241
S2 0.134 0.706 0.869
S3 0.202 0.217 0.905
S4 0.387 0.095 0.576
S5 0.455 0.603 0.599
S6 0.566 0.360 0.235
S7 0.617 0.468 0.920
S8 0.621 0.999 0.924
S9 0.959 0.847 0.555
S10 0.962 0.313 0.551

Calculated values
- SG: No. 1
- Size of the total moment: 2.01 Bohr magnetons per cell

---

two:
MgTi2Tl2P2S10: relaxed, PBE.

Unit cell a=6.532 b=7.200 c=9.743 alpha=110.19 beta=98.13 gamma=90.29
Element x y z (fractional)
Mg1 0.000 0.000 0.000
Ti1 0.499 0.708 0.997
Ti2 0.501 0.292 0.003
Tl1 0.295 0.289 0.566
Tl2 0.705 0.711 0.434
P1 0.280 0.879 0.739
P2 0.720 0.121 0.261
S1 0.153 0.695 0.836
S2 0.154 0.153 0.835
S3 0.235 0.778 0.519
S4 0.356 0.568 0.149
S5 0.408 0.079 0.169
S6 0.592 0.921 0.831
S7 0.644 0.432 0.851
S8 0.765 0.222 0.481
S9 0.846 0.847 0.165
S10 0.847 0.305 0.164

Calculated values
- SG: No. 2
- Size of the total moment: 2.01 Bohr magnetons per cell

---

three:
MgTi2Tl2P2S10: relaxed, PBE.

Unit cell a=6.621 b=7.067 c=10.145 alpha=109.87 beta=103.48 gamma=90.09
Element x y z (fractional)
Mg1 0.000 0.000 0.000
Ti1 0.500 0.074 0.001
Ti2 0.501 0.640 0.002
Tl1 0.288 0.625 0.549
Tl2 0.714 0.073 0.452
P1 0.285 0.237 0.737
P2 0.716 0.495 0.266
S1 0.165 0.507 0.819
S2 0.171 0.010 0.803
S3 0.235 0.131 0.522
S4 0.330 0.921 0.129
S5 0.405 0.433 0.153
S6 0.596 0.286 0.850
S7 0.670 0.795 0.873
S8 0.767 0.594 0.481
S9 0.829 0.204 0.197
S10 0.835 0.689 0.187

Calculated values
- SG: No. 1
- Size of the total moment: 2.00 Bohr magnetons per cell

---

Order from most stable to least stable according to the calculation: three, two, one

---

one:
MgSiP2: relaxed, PBE.

Unit cell a=6.361 b=6.361 c=6.361 alpha=90.00 beta=90.00 gamma=90.00
Element x y z (fractional)
Mg1 0.000 0.000 0.000
Mg2 0.000 0.500 0.500
Mg3 0.500 0.000 0.500
Mg4 0.500 0.500 0.000
Si1 0.000 0.000 0.500
Si2 0.000 0.500 0.000
Si3 0.500 0.000 0.000
Si4 0.500 0.500 0.500
P1 0.250 0.250 0.250
P2 0.250 0.250 0.750
P3 0.250 0.750 0.250
P4 0.250 0.750 0.750
P5 0.750 0.250 0.250
P6 0.750 0.250 0.750
P7 0.750 0.750 0.250
P8 0.750 0.750 0.750

Calculated values
- SG: No. 225
- Size of the total moment: 0.00 Bohr magnetons per cell

---

two:
MgSiP2: relaxed, PBE.

Unit cell a=5.750 b=5.750 c=10.248 alpha=90.00 beta=90.00 gamma=90.00
Element x y z (fractional)
Mg1 0.000 0.000 0.000
Mg2 0.000 0.500 0.250
Mg3 0.500 0.000 0.750
Mg4 0.500 0.500 0.500
Si1 0.000 0.000 0.500
Si2 0.000 0.500 0.750
Si3 0.500 0.000 0.250
Si4 0.500 0.500 0.000
P1 0.207 0.250 0.625
P2 0.250 0.707 0.875
P3 0.250 0.793 0.375
P4 0.293 0.250 0.125
P5 0.707 0.750 0.125
P6 0.750 0.207 0.375
P7 0.750 0.293 0.875
P8 0.793 0.750 0.625

Calculated values
- SG: No. 122
- Largest piezoelectric modulus: 0.3 C/m2

---

Order from most stable to least stable according to the calculation: two, one

---

one:
Pm2Mg: relaxed, PBE.

Unit cell a=3.817 b=3.817 c=12.759 alpha=90.00 beta=90.00 gamma=90.00
Element x y z (fractional)
Pm1 0.000 0.000 0.157
Pm2 0.000 0.000 0.843
Pm3 0.500 0.500 0.343
Pm4 0.500 0.500 0.657
Mg1 0.000 0.000 0.500
Mg2 0.500 0.500 0.000

Calculated values
- SG: No. 139

---

two:
Pm2Mg: relaxed, PBE.

Unit cell a=13.578 b=3.753 c=7.562 alpha=90.00 beta=105.99 gamma=90.00
Element x y z (fractional)
Pm1 0.153 0.000 0.069
Pm2 0.165 0.000 0.589
Pm3 0.335 0.500 0.411
Pm4 0.347 0.500 0.931
Pm5 0.653 0.500 0.069
Pm6 0.665 0.500 0.589
Pm7 0.835 0.000 0.411
Pm8 0.847 0.000 0.931
Mg1 0.005 0.500 0.266
Mg2 0.495 0.000 0.734
Mg3 0.505 0.000 0.266
Mg4 0.995 0.500 0.734

Calculated values
- SG: No. 12

---

Order from most stable to least stable according to the calculation: one, two

---

one:
Pm2MgS4: relaxed, PBE.

Unit cell a=12.892 b=3.945 c=13.928 alpha=90.00 beta=90.00 gamma=90.00
Element x y z (fractional)
Pm1 0.121 0.250 0.074
Pm2 0.133 0.250 0.707
Pm3 0.367 0.750 0.207
Pm4 0.379 0.750 0.574
Pm5 0.621 0.250 0.426
Pm6 0.633 0.250 0.793
Pm7 0.867 0.750 0.293
Pm8 0.879 0.750 0.926
Mg1 0.107 0.750 0.462
Mg2 0.393 0.250 0.962
Mg3 0.607 0.750 0.038
Mg4 0.893 0.250 0.538
S1 0.002 0.750 0.614
S2 0.025 0.250 0.885
S3 0.229 0.250 0.245
S4 0.231 0.250 0.516
S5 0.269 0.750 0.016
S6 0.271 0.750 0.745
S7 0.475 0.750 0.385
S8 0.498 0.250 0.114
S9 0.502 0.750 0.886
S10 0.525 0.250 0.615
S11 0.729 0.250 0.255
S12 0.731 0.250 0.984
S13 0.769 0.750 0.484
S14 0.771 0.750 0.755
S15 0.975 0.750 0.115
S16 0.998 0.250 0.386

Calculated values
- SG: No. 62
- Size of the total moment: 0.00 Bohr magnetons per cell

---

two:
Pm2MgS4: relaxed, PBE.

Unit cell a=13.900 b=8.155 c=6.622 alpha=90.00 beta=90.00 gamma=90.00
Element x y z (fractional)
Pm1 0.000 0.000 0.000
Pm2 0.000 0.500 0.000
Pm3 0.231 0.250 0.499
Pm4 0.269 0.750 0.999
Pm5 0.500 0.000 0.500
Pm6 0.500 0.500 0.500
Pm7 0.731 0.250 0.001
Pm8 0.769 0.750 0.501
Mg1 0.093 0.750 0.422
Mg2 0.407 0.250 0.922
Mg3 0.593 0.750 0.078
Mg4 0.907 0.250 0.578
S1 0.067 0.250 0.744
S2 0.092 0.750 0.786
S3 0.168 0.515 0.247
S4 0.168 0.985 0.247
S5 0.332 0.015 0.747
S6 0.332 0.485 0.747
S7 0.408 0.250 0.286
S8 0.433 0.750 0.244
S9 0.567 0.250 0.756
S10 0.592 0.750 0.714
S11 0.668 0.515 0.253
S12 0.668 0.985 0.253
S13 0.832 0.015 0.753
S14 0.832 0.485 0.753
S15 0.908 0.250 0.214
S16 0.933 0.750 0.256

Calculated values
- SG: No. 62

---

Order from most stable to least stable according to the calculation: two, one